[1]
## NpP (r²SCAN)

Data for a relaxed NpP crystal.

```
2
Lattice="1.124 3.774 -0.812 -1.535 3.054 2.117 2.318 2.011 2.598" Properties=species:S:1:pos:R:3 pbc="T T T"
Np 0.000 0.000 0.000
P 0.953 4.419 1.951
```

For the formation energy from the elements, the calculation gives -1.4296 eV/atom. The total energy is -47.443 eV per atom. For the volume, the calculation gives 45.96 Å³/f.u. The calculation puts the total magnetic moment at 3.77 μB per formula unit.

=====

[2]
## Sm3Sb5O12 (r²SCAN)

Data for a relaxed Sm3Sb5O12 crystal.

```
40
Lattice="4.438 -2.861 7.845 -7.204 -5.838 -1.854 6.064 -0.073 -7.256" Properties=species:S:1:pos:R:3 pbc="T T T"
Sm 1.242 -5.083 3.143
Sm -1.262 -5.131 -3.057
Sm 4.559 -3.642 1.792
Sm 4.965 -2.945 -1.983
Sm -1.669 -5.828 0.718
Sm 2.055 -3.689 -4.408
Sb 1.685 -4.484 -0.646
Sb -3.522 -2.854 -0.906
Sb 1.029 -7.310 -5.274
Sb 0.198 -8.735 2.444
Sb -0.822 -4.258 -6.563
Sb -0.319 -1.653 -2.547
Sb 2.936 -0.820 0.165
Sb 7.565 -2.114 0.424
Sb 5.290 -2.506 -5.581
Sb -1.993 -6.267 4.316
O 7.202 -1.564 -1.696
O 3.841 -1.770 -4.068
O -2.592 -4.724 -5.306
O 0.686 -3.592 -2.148
O -0.229 -5.369 5.321
O 2.984 -3.004 -0.233
O -3.140 -4.804 -1.225
O -3.447 -6.192 2.640
O 0.365 -4.142 0.833
O 1.076 -3.131 -6.800
O 2.986 -3.237 3.879
O 6.753 -2.335 2.478
O 3.957 -1.427 1.727
O -0.754 -6.164 2.797
O 0.867 -1.747 -4.108
O 2.978 -5.301 1.656
O 4.280 -0.874 -1.265
O 0.073 -4.746 -4.885
O -1.762 -2.890 -3.037
O 3.455 -4.484 -2.770
O 0.069 -3.117 3.311
O 5.996 -3.231 0.049
O -0.434 -6.174 -1.187
O -2.239 -3.707 1.389
```

For the formation energy from the elements, the calculation gives -2.4166 eV/atom. The total energy is -16.887 eV per atom. For the volume, the calculation gives 325.49 Å³/f.u. The calculation puts the total magnetic moment at 0.00 μB per formula unit.

=====

[3]
## ErCuSn (r²SCAN)

Data for a relaxed ErCuSn crystal.

```
6
Lattice="2.239 -3.879 0.000 2.239 3.879 0.000 0.000 0.000 7.210" Properties=species:S:1:pos:R:3 pbc="T T T"
Er 0.000 0.000 7.195
Er 0.000 0.000 3.590
Cu 2.239 -1.293 2.355
Cu 2.239 1.293 5.960
Sn 2.239 -1.293 5.252
Sn 2.239 1.293 1.647
```

For the formation energy from the elements, the calculation gives -0.6601 eV/atom. The total energy is -23.833 eV per atom. For the volume, the calculation gives 62.62 Å³/f.u. The calculation puts the total magnetic moment at 0.00 μB per formula unit.

=====

[4]
## NaCaAu2 (r²SCAN)

Data for a relaxed NaCaAu2 crystal.

```
4
Lattice="0.000 3.547 3.547 3.547 0.000 3.547 3.547 3.547 0.000" Properties=species:S:1:pos:R:3 pbc="T T T"
Na 0.000 0.000 0.000
Ca 3.547 3.547 3.547
Au 5.321 5.321 5.321
Au 1.774 1.774 1.774
```

For the formation energy from the elements, the calculation gives -0.6132 eV/atom. The total energy is -28.556 eV per atom. For the volume, the calculation gives 89.26 Å³/f.u. The calculation puts the total magnetic moment at 0.00 μB per formula unit.

=====

[5]
## Ba2PdO3 (r²SCAN)

Data for a relaxed Ba2PdO3 crystal.

```
6
Lattice="-2.465 2.923 -0.654 0.928 -0.114 -4.007 -4.168 -5.796 1.313" Properties=species:S:1:pos:R:3 pbc="T T T"
Ba -2.203 0.128 -2.626
Ba -3.502 -3.116 -0.722
Pd 0.000 0.000 0.000
O -4.183 -1.633 -3.035
O -1.523 -1.355 -0.314
O 0.464 -0.057 -2.004
```

For the formation energy from the elements, the calculation gives -2.1441 eV/atom. The total energy is -17.790 eV per atom. For the volume, the calculation gives 106.73 Å³/f.u. The calculation puts the total magnetic moment at 0.00 μB per formula unit.

=====

[6]
## CeAlO3 (r²SCAN)

Data for a relaxed CeAlO3 crystal.

```
20
Lattice="5.300 0.000 0.000 0.000 5.352 0.000 0.000 0.000 7.536" Properties=species:S:1:pos:R:3 pbc="T T T"
Ce 0.017 5.342 5.652
Ce 2.667 2.686 5.652
Ce 2.633 2.666 1.884
Ce 5.283 0.010 1.884
Al 2.650 0.000 0.000
Al 2.650 0.000 3.768
Al 0.000 2.676 0.000
Al 0.000 2.676 3.768
O 2.655 5.129 1.884
O 4.000 4.038 3.929
O 4.000 4.038 7.375
O 1.350 3.989 7.375
O 1.350 3.989 3.929
O 0.005 2.898 1.884
O 5.295 2.453 5.652
O 3.949 1.362 0.161
O 3.949 1.362 3.607
O 1.299 1.314 0.161
O 1.299 1.314 3.607
O 2.645 0.223 5.652
```

For the formation energy from the elements, the calculation gives -3.6122 eV/atom. The total energy is -14.710 eV per atom. For the volume, the calculation gives 53.44 Å³/f.u. The calculation puts the total magnetic moment at 1.00 μB per formula unit.

=====

[7]
## Ta3AlC2 (r²SCAN)

Data for a relaxed Ta3AlC2 crystal.

```
12
Lattice="3.089 0.000 0.000 -1.544 2.675 0.000 0.000 0.000 19.220" Properties=species:S:1:pos:R:3 pbc="T T T"
Ta 0.000 1.783 2.583
Ta 1.544 0.892 12.193
Ta 0.000 1.783 7.027
Ta 1.544 0.892 16.637
Ta 0.000 0.000 9.610
Ta 0.000 0.000 0.000
Al 0.000 0.000 4.805
Al 0.000 0.000 14.415
C 1.544 0.892 8.297
C 1.544 0.892 1.313
C 0.000 1.783 10.923
C 0.000 1.783 17.907
```

For the formation energy from the elements, the calculation gives -0.6346 eV/atom. The total energy is -29.368 eV per atom. For the volume, the calculation gives 79.40 Å³/f.u. The calculation puts the total magnetic moment at 0.00 μB per formula unit.

=====

[8]
## La4CdPd (r²SCAN)

Data for a relaxed La4CdPd crystal.

```
24
Lattice="0.000 7.205 7.205 7.205 0.000 7.205 7.205 7.205 0.000" Properties=species:S:1:pos:R:3 pbc="T T T"
La 5.051 5.051 5.051
La 9.359 9.359 5.051
La 9.359 5.051 9.359
La 5.051 9.359 9.359
La 2.797 7.205 7.205
La 11.613 7.205 7.205
La 7.205 2.797 7.205
La 7.205 11.613 7.205
La 7.205 7.205 2.797
La 7.205 7.205 11.613
La 8.124 10.808 10.808
La 13.492 10.808 10.808
La 10.808 8.124 10.808
La 10.808 13.492 10.808
La 10.808 10.808 8.124
La 10.808 10.808 13.492
Cd 8.341 8.341 8.341
Cd 6.069 6.069 8.341
Cd 6.069 8.341 6.069
Cd 8.341 6.069 6.069
Pd 2.064 2.064 2.064
Pd 5.141 5.141 2.064
Pd 5.141 2.064 5.141
Pd 2.064 5.141 5.141
```

For the formation energy from the elements, the calculation gives -0.4384 eV/atom. The total energy is -27.446 eV per atom. For the volume, the calculation gives 187.02 Å³/f.u. The calculation puts the total magnetic moment at 0.01 μB per formula unit.

=====

[9]
## SiO2 (r²SCAN)

Data for a relaxed SiO2 crystal.

```
9
Lattice="-2.980 -2.894 -3.266 4.050 0.822 -3.293 2.122 -3.993 2.733" Properties=species:S:1:pos:R:3 pbc="T T T"
Si 0.080 -3.834 -1.907
Si 2.012 -1.994 -3.212
Si 2.696 -3.270 -0.619
O 2.935 -2.325 -1.918
O 1.229 -3.950 -0.765
O 0.624 -2.824 -3.056
O 2.765 -2.388 0.723
O -1.278 -3.261 -1.265
O 3.827 -4.411 -0.551
```

For the formation energy from the elements, the calculation gives -2.9964 eV/atom. The total energy is -9.903 eV per atom. For the volume, the calculation gives 47.75 Å³/f.u. The calculation puts the total magnetic moment at 0.00 μB per formula unit.

=====

[10]
## BaTiO3 (r²SCAN)

Data for a relaxed BaTiO3 crystal.

```
30
Lattice="-4.940 1.740 2.379 3.950 -2.645 3.240 5.820 12.391 3.022" Properties=species:S:1:pos:R:3 pbc="T T T"
Ba 3.317 3.810 4.245
Ba 1.487 7.652 4.542
Ba 3.301 11.485 5.325
Ba 5.398 0.456 3.995
Ba -0.569 11.030 4.647
Ba 1.553 0.024 3.170
Ti 4.784 6.893 5.048
Ti 0.003 4.555 3.828
Ti -0.967 -0.883 5.483
Ti 5.945 9.313 5.394
Ti 2.886 6.173 1.647
Ti -1.074 2.210 3.012
O 7.839 9.476 5.872
O -1.005 0.677 4.400
O -1.000 3.883 2.090
O 0.948 4.882 5.418
O -3.008 2.011 2.757
O 3.862 6.610 3.218
O 3.382 6.148 6.051
O -1.412 3.544 4.621
O 4.052 8.750 5.094
O 5.860 5.265 4.857
O -0.523 1.145 1.568
O 0.777 2.735 3.547
O 5.334 10.352 7.076
O -1.033 6.219 3.796
O 1.467 5.332 2.589
O 5.798 7.536 6.535
O 6.272 8.008 4.037
O 5.850 10.796 4.246
```

For the formation energy from the elements, the calculation gives -3.3639 eV/atom. The total energy is -14.835 eV per atom. For the volume, the calculation gives 67.15 Å³/f.u. The calculation puts the total magnetic moment at 0.00 μB per formula unit.

=====

[11]
## TeO2 (r²SCAN)

Data for a relaxed TeO2 crystal.

```
18
Lattice="-2.816 1.768 -4.741 -3.931 -4.408 3.827 -0.529 6.938 3.503" Properties=species:S:1:pos:R:3 pbc="T T T"
Te -5.354 -2.099 -0.337
Te -1.922 6.396 2.927
Te -2.341 -0.558 2.740
Te -4.935 4.856 -0.151
Te -1.825 2.969 0.114
Te -5.451 1.328 2.476
O -3.381 1.857 -3.665
O -3.895 2.440 6.255
O -3.352 1.027 2.521
O -3.924 3.270 0.069
O -5.776 -0.732 2.176
O -1.500 5.029 0.414
O -2.134 1.180 -0.890
O -5.142 3.117 3.480
O -3.657 -1.639 3.658
O -3.618 5.936 -1.068
O -4.532 5.544 1.588
O -2.744 -1.246 1.002
```

For the formation energy from the elements, the calculation gives -1.0758 eV/atom. The total energy is -13.530 eV per atom. For the volume, the calculation gives 46.56 Å³/f.u. The calculation puts the total magnetic moment at 0.00 μB per formula unit.

=====

[12]
## Li2GaAg (r²SCAN)

Data for a relaxed Li2GaAg crystal.

```
4
Lattice="0.000 3.107 3.107 3.107 0.000 3.107 3.107 3.107 0.000" Properties=species:S:1:pos:R:3 pbc="T T T"
Li 4.660 4.660 4.660
Li 3.107 3.107 3.107
Ga 0.000 0.000 0.000
Ag 1.553 1.553 1.553
```

For the formation energy from the elements, the calculation gives -0.3080 eV/atom. The total energy is -9.701 eV per atom. For the volume, the calculation gives 59.98 Å³/f.u. The calculation puts the total magnetic moment at 0.00 μB per formula unit.

=====

[13]
## Ho2MgAl (r²SCAN)

Data for a relaxed Ho2MgAl crystal.

```
4
Lattice="5.090 -0.810 0.116 1.839 -4.689 1.096 2.247 -2.814 -3.689" Properties=species:S:1:pos:R:3 pbc="T T T"
Ho 0.000 0.000 0.000
Ho 4.588 -4.157 -1.239
Mg 6.882 -6.235 -1.858
Al 2.294 -2.078 -0.619
```

For the formation energy from the elements, the calculation gives -0.3028 eV/atom. The total energy is -19.469 eV per atom. For the volume, the calculation gives 96.86 Å³/f.u. The calculation puts the total magnetic moment at 0.00 μB per formula unit.

=====

[14]
## Ba3Na2Sb4 (r²SCAN)

Data for a relaxed Ba3Na2Sb4 crystal.

```
36
Lattice="-2.137 7.320 3.231 -7.318 -3.960 4.132 2.398 -7.251 18.014" Properties=species:S:1:pos:R:3 pbc="T T T"
Ba -6.899 1.190 13.721
Ba -2.375 2.033 4.190
Ba -4.504 -10.060 20.077
Ba -0.338 -0.935 12.773
Ba -0.157 -5.082 11.657
Ba -4.681 -5.925 21.188
Ba -2.552 6.169 5.301
Ba -6.719 -2.957 12.605
Ba -1.591 -6.809 18.060
Ba -3.939 -1.826 15.832
Ba -5.465 2.917 7.318
Ba -3.117 -2.066 9.546
Na -6.490 -0.092 9.790
Na -1.353 -1.586 5.958
Na -0.566 -3.800 15.588
Na -5.703 -2.306 19.420
Na -2.965 2.155 10.619
Na -5.601 -1.359 6.220
Na -4.092 -6.046 14.759
Na -1.455 -2.533 19.157
Sb -2.888 0.693 7.579
Sb -4.389 -4.313 7.312
Sb -4.169 -4.585 17.799
Sb -2.668 0.421 18.066
Sb -1.911 3.399 7.485
Sb -6.450 -3.301 9.046
Sb -5.145 -7.291 17.893
Sb -0.606 -0.591 16.331
Sb -3.964 -0.540 12.542
Sb -3.893 -1.092 3.226
Sb 1.039 -4.703 18.747
Sb -7.318 -1.367 16.276
Sb -3.093 -3.352 12.836
Sb -3.163 -2.800 22.152
Sb -8.095 0.812 6.631
Sb 0.262 -2.524 9.101
```

For the formation energy from the elements, the calculation gives -0.9716 eV/atom. The total energy is -22.022 eV per atom. For the volume, the calculation gives 332.02 Å³/f.u. The calculation puts the total magnetic moment at 0.00 μB per formula unit.

=====

[15]
## Ba3Al2As4 (r²SCAN)

Data for a relaxed Ba3Al2As4 crystal.

```
36
Lattice="-6.542 0.151 3.717 -5.523 -4.503 -9.537 2.042 -11.069 4.044" Properties=species:S:1:pos:R:3 pbc="T T T"
Ba -3.490 -4.258 2.878
Ba -2.577 -3.428 -3.167
Ba -4.629 -9.610 -1.365
Ba -9.352 -13.545 -1.898
Ba -6.534 -11.163 -4.655
Ba -7.447 -11.992 1.391
Ba -5.395 -5.811 -0.411
Ba -0.672 -1.875 0.122
Ba -3.762 -9.189 2.802
Ba -0.436 -9.562 1.052
Ba -6.261 -6.232 -4.578
Ba -9.587 -5.859 -2.828
Al -4.275 -0.881 1.030
Al -1.509 -6.811 -1.480
Al -4.371 -13.416 -0.427
Al -9.893 -9.733 -2.676
Al -5.749 -14.539 -2.807
Al -8.515 -8.610 -0.296
Al -5.653 -2.005 -1.350
Al -0.131 -5.688 0.900
As -7.149 -3.664 -2.423
As -5.440 -8.502 -6.836
As -0.754 -10.027 4.309
As -6.705 -8.648 1.397
As -2.875 -11.757 0.646
As -4.584 -6.919 5.060
As -9.270 -5.393 -6.086
As -3.318 -6.772 -3.173
As -4.701 -11.766 4.562
As -2.337 -6.920 0.905
As -5.323 -3.655 -6.338
As -7.687 -8.501 -2.681
As -6.662 -4.622 2.325
As -3.711 -2.964 -0.167
As -3.362 -10.798 -4.101
As -6.313 -12.457 -1.609
```

For the formation energy from the elements, the calculation gives -1.1339 eV/atom. The total energy is -18.000 eV per atom. For the volume, the calculation gives 267.92 Å³/f.u. The calculation puts the total magnetic moment at 0.00 μB per formula unit.

=====

[16]
## Rb2NiF4 (r²SCAN)

Data for a relaxed Rb2NiF4 crystal.

```
7
Lattice="2.956 2.602 6.282 0.026 6.618 3.343 -3.898 -5.321 -3.385" Properties=species:S:1:pos:R:3 pbc="T T T"
Rb 1.928 5.960 6.222
Rb 1.054 3.259 3.402
Ni 0.000 0.000 0.000
F -1.936 0.648 -0.021
F -0.471 -1.360 1.449
F 2.547 7.872 8.218
F 0.436 1.348 1.407
```

For the formation energy from the elements, the calculation gives -2.6884 eV/atom. The total energy is -10.167 eV per atom. For the volume, the calculation gives 113.88 Å³/f.u. The calculation puts the total magnetic moment at 2.00 μB per formula unit.

=====

[17]
## Mg3Sc (r²SCAN)

Data for a relaxed Mg3Sc crystal.

```
4
Lattice="-3.493 2.858 0.000 -0.894 -1.093 4.287 2.715 3.317 1.412" Properties=species:S:1:pos:R:3 pbc="T T T"
Mg -2.194 0.883 2.143
Mg -0.389 3.088 0.706
Mg 0.910 1.112 2.849
Sc 0.000 0.000 0.000
```

For the formation energy from the elements, the calculation gives -0.0215 eV/atom. The total energy is -5.998 eV per atom. For the volume, the calculation gives 91.93 Å³/f.u. The calculation puts the total magnetic moment at 0.00 μB per formula unit.